Record 1
Density functional theory data (GGA-PBE) for a geometry-optimized LuNi structure.

Its energy of formation from the pure elements is -523 meV per atom.

The structure belongs to space group Pnma (No. 62); the cell edges are 6.909, 4.080 and 5.308 Å and the angles 90.00°, 90.00° and 90.00°. The inequivalent atoms are Lu at (0.179, 0.250, 0.127) and Ni at (0.036, 0.250, 0.623).

Record 2
Density functional theory data (GGA-PBE) for a geometry-optimized LuNi5 structure.

Its energy of formation from the pure elements is -340 meV per atom.

The structure belongs to space group P6/mmm (No. 191); the cell edges are 4.8099, 4.8099 and 3.9535 Å and the angles 90.00°, 90.00° and 120.00°. The inequivalent atoms are Lu at (0.0000, 0.0000, 0.0000), Ni at (0.0000, 0.5000, 0.5000) and Ni at (0.3333, 0.6667, 0.0000).